First-principles (PBE) data for crystalline ZnPS3 at its relaxed geometry, as listed in Materials Project.

Cell: 6.010 6.010 7.493 Å, 82.39 82.39 120.00°
Sites, in units of the cell vectors:
S  0.255  0.255  0.224
S  0.926  0.597  0.224
S  0.074  0.403  0.776
Zn  0.333  0.667  0.000
S  0.403  0.074  0.776
P  0.949  0.949  0.153
S  0.745  0.745  0.776
P  0.051  0.051  0.847
S  0.597  0.926  0.224
Zn  0.667  0.333  0.000

Summary:
* total moment: 0.000 μB/f.u.
* ρ: 2829 kg/m3
* MP2020-corrected energy: -45.238 eV per cell
* electronic total energy: -42.22 eV per cell

=====

First-principles (PBE) data for crystalline NaMg6Zr at its relaxed geometry, as listed in Materials Project.

Cell: 6.399 6.399 4.635 Å, 90.00 90.00 90.00°
Sites, in units of the cell vectors:
Mg  0.000  0.500  0.500
Na  0.000  0.000  0.500
Mg  0.742  0.258  0.000
Mg  0.258  0.742  0.000
Mg  0.742  0.742  0.000
Mg  0.258  0.258  0.000
Zr  0.500  0.500  0.500
Mg  0.500  0.000  0.500

Summary:
* total moment: 0.285 μB/f.u.
* ρ: 2275 kg/m3
* electronic total energy: -18.81 eV per cell
* distance to the lowest polymorph of the same formula: 0 meV per atom

=====

First-principles (PBE) data for crystalline BMo2C at its relaxed geometry, as listed in Materials Project.

Cell: 8.908 8.908 3.077 Å, 90.00 90.00 159.86°
Sites, in units of the cell vectors:
B  0.528  0.472  0.750
C  0.191  0.809  0.250
C  0.809  0.191  0.750
Mo  0.928  0.072  0.750
Mo  0.685  0.315  0.750
Mo  0.072  0.928  0.250
B  0.472  0.528  0.250
Mo  0.315  0.685  0.250

Summary:
* total moment: 0.000 μB/f.u.
* ρ: 8481 kg/m3
* electronic total energy: -77.16 eV per cell

=====

First-principles (PBE) data for crystalline TmNiBi at its relaxed geometry, as listed in Materials Project.

Cell: 4.544 4.544 4.544 Å, 60.00 60.00 60.00°
Sites, in units of the cell vectors:
Ni  0.250  0.250  0.250
Tm  0.500  0.500  0.500
Bi  0.000  0.000  0.000

Summary:
* ρ: 10925 kg/m3
* piezoelectric modulus e_max: 0.29 C/m2
* electronic total energy: -16.10 eV per cell

=====

First-principles (PBE) data for crystalline MgCu3N3 at its relaxed geometry, as listed in Materials Project.

Cell: 4.138 4.138 4.138 Å, 90.00 90.00 90.00°
Sites, in units of the cell vectors:
Cu  0.000  0.500  0.000
N  0.500  0.500  0.000
N  0.000  0.500  0.500
Cu  0.500  0.000  0.000
N  0.500  0.000  0.500
Cu  0.000  0.000  0.500
Mg  0.500  0.500  0.500

Summary:
* total moment: 0.006 μB/f.u.
* ρ: 6021 kg/m3
* MP2020-corrected energy: -36.998 eV per cell
* electronic total energy: -35.91 eV per cell

=====

First-principles (PBE) data for crystalline Ag2BBr at its relaxed geometry, as listed in Materials Project.

Cell: 4.724 4.724 4.724 Å, 60.00 60.00 60.00°
Sites, in units of the cell vectors:
Ag  0.750  0.750  0.750
B  0.000  0.000  0.000
Ag  0.250  0.250  0.250
Br  0.500  0.500  0.500

Summary:
* total moment: 0.007 μB/f.u.
* ρ: 6828 kg/m3
* MP2020-corrected energy: -10.126 eV per cell
* electronic total energy: -9.59 eV per cell

=====

First-principles (PBE) data for crystalline RbLiAgO2 at its relaxed geometry, as listed in Materials Project.

Cell: 3.083 5.211 5.741 Å, 90.00 90.00 90.00°
Sites, in units of the cell vectors:
Rb  0.500  0.500  0.500
Li  0.500  0.000  0.500
Ag  0.500  0.000  0.000
O  0.000  0.000  0.277
O  0.000  0.000  0.723

Summary:
* total moment: 0.011 μB/f.u.
* ρ: 4181 kg/m3
* MP2020-corrected energy: -20.719 eV per cell
* electronic total energy: -19.35 eV per cell
* distance to the lowest polymorph of the same formula: 97 meV per atom

=====

First-principles (PBE) data for crystalline NbSbRh at its relaxed geometry, as listed in Materials Project.

Cell: 4.409 4.409 4.409 Å, 60.00 60.00 60.00°
Sites, in units of the cell vectors:
Sb  0.500  0.500  0.500
Nb  0.000  0.000  0.000
Rh  0.750  0.750  0.750

Summary:
* total moment: 0.924 μB/f.u.
* ρ: 8704 kg/m3
* electronic total energy: -22.60 eV per cell

=====

First-principles (PBE) data for crystalline La5Si3O13 at its relaxed geometry, as listed in Materials Project.

Cell: 9.822 9.822 7.297 Å, 90.00 90.00 120.00°
Sites, in units of the cell vectors:
O  0.876  0.406  0.750
O  0.406  0.530  0.250
La  0.012  0.243  0.750
La  0.231  0.988  0.750
Si  0.030  0.400  0.250
O  0.124  0.594  0.250
O  0.252  0.909  0.069
O  0.343  0.252  0.569
O  0.091  0.343  0.069
O  0.678  0.516  0.250
O  0.909  0.657  0.569
Si  0.600  0.630  0.250
O  0.091  0.343  0.431
La  0.333  0.667  0.995
O  0.252  0.909  0.431
O  0.748  0.091  0.931
O  0.530  0.124  0.750
O  0.657  0.748  0.431
O  0.000  0.000  0.750
O  0.343  0.252  0.931
O  0.657  0.748  0.069
O  0.838  0.322  0.250
La  0.333  0.667  0.505
O  0.322  0.484  0.750
La  0.667  0.333  0.005
La  0.769  0.012  0.250
O  0.000  0.000  0.250
O  0.484  0.162  0.250
O  0.162  0.678  0.750
La  0.757  0.769  0.750
La  0.988  0.757  0.250
O  0.748  0.091  0.569
O  0.516  0.838  0.750
Si  0.970  0.600  0.750
O  0.909  0.657  0.931
O  0.470  0.876  0.250
La  0.667  0.333  0.495
Si  0.370  0.970  0.250
Si  0.400  0.370  0.750
O  0.594  0.470  0.750
La  0.243  0.231  0.250
Si  0.630  0.030  0.750

Summary:
* total moment: 0.948 μB/f.u.
* ρ: 5375 kg/m3
* MP2020-corrected energy: -364.543 eV per cell
* electronic total energy: -346.68 eV per cell

=====

First-principles (PBE) data for crystalline Sr10Ca4Cu10Bi11O40 at its relaxed geometry, as listed in Materials Project.

Cell: 8.389 16.943 8.389 Å, 75.67 89.99 104.33°
Sites, in units of the cell vectors:
Sr  0.593  0.784  0.209
Bi  0.798  0.395  0.602
Bi  0.402  0.605  0.997
O  0.068  0.736  0.733
O  0.268  0.736  0.332
Sr  0.007  0.216  0.591
O  0.050  0.101  0.449
Sr  0.191  0.781  0.009
O  0.732  0.264  0.668
O  0.868  0.736  0.132
O  0.849  0.899  0.251
O  0.532  0.264  0.067
Sr  0.409  0.219  0.791
Cu  0.653  0.102  0.748
O  0.668  0.736  0.532
O  0.550  0.899  0.351
Cu  0.551  0.898  0.850
Ca  0.898  0.000  0.698
O  0.296  0.394  0.103
O  0.497  0.394  0.703
Cu  0.749  0.899  0.451
O  0.103  0.606  0.097
O  0.304  0.606  0.697
O  0.449  0.898  0.050
Bi  0.602  0.605  0.598
Cu  0.851  0.101  0.349
Sr  0.207  0.216  0.193
Ca  0.502  0.000  0.498
O  0.932  0.264  0.268
Cu  0.350  0.898  0.253
O  0.651  0.101  0.249
Bi  0.802  0.605  0.198
O  0.151  0.102  0.750
Sr  0.991  0.784  0.409
Bi  0.998  0.395  0.202
O  0.897  0.394  0.904
Ca  0.098  0.000  0.302
O  0.351  0.101  0.349
O  0.332  0.264  0.468
O  0.949  0.899  0.551
Bi  0.300  0.000  0.900
O  0.467  0.736  0.932
Bi  0.598  0.395  0.002
Cu  0.049  0.102  0.950
Bi  0.198  0.395  0.803
Cu  0.250  0.102  0.547
O  0.049  0.898  0.851
O  0.450  0.102  0.649
Ca  0.702  0.000  0.102
Cu  0.947  0.898  0.052
Cu  0.148  0.898  0.649
O  0.697  0.394  0.303
O  0.749  0.899  0.951
O  0.851  0.101  0.849
Sr  0.609  0.216  0.391
Bi  0.203  0.605  0.398
O  0.649  0.899  0.650
Sr  0.393  0.784  0.607
O  0.133  0.264  0.868
O  0.903  0.606  0.497
O  0.703  0.606  0.896
O  0.951  0.101  0.150
O  0.551  0.102  0.949
O  0.349  0.898  0.751
O  0.503  0.606  0.298
O  0.249  0.899  0.451
O  0.251  0.102  0.049
Sr  0.791  0.784  0.807
O  0.751  0.101  0.549
Sr  0.809  0.216  0.993
O  0.150  0.898  0.151
O  0.097  0.394  0.502
Bi  0.397  0.395  0.402
Cu  0.452  0.102  0.151
Bi  0.002  0.605  0.798

Summary:
* total moment: 0.003 μB/f.u.
* ρ: 6855 kg/m3
* MP2020-corrected energy: -454.849 eV per cell
* electronic total energy: -427.37 eV per cell

=====

First-principles (PBE) data for crystalline Nd5As2ClO10 at its relaxed geometry, as listed in Materials Project.

Cell: 6.894 6.894 9.117 Å, 66.29 66.29 49.23°
Sites, in units of the cell vectors:
O  0.360  0.360  0.601
As  0.215  0.215  0.607
Nd  0.254  0.254  0.128
Nd  0.500  0.500  0.292
Nd  0.746  0.746  0.872
O  0.133  0.626  0.916
O  0.094  0.623  0.247
Nd  0.500  0.500  0.708
O  0.906  0.377  0.753
Nd  0.000  0.000  0.000
O  0.640  0.640  0.399
As  0.785  0.785  0.393
O  0.374  0.867  0.084
O  0.377  0.906  0.753
O  0.867  0.374  0.084
Cl  0.000  0.000  0.500
O  0.626  0.133  0.916
O  0.623  0.094  0.247

Summary:
* total moment: 0.001 μB/f.u.
* ρ: 6019 kg/m3
* MP2020-corrected energy: -142.000 eV per cell
* electronic total energy: -135.13 eV per cell

=====

First-principles (PBE) data for crystalline HfC at its relaxed geometry, as listed in Materials Project.

Cell: 3.566 3.566 3.566 Å, 60.00 60.00 60.00°
Sites, in units of the cell vectors:
Hf  0.000  0.000  0.000
C  0.250  0.250  0.250

Summary:
* total moment: 0.000 μB/f.u.
* ρ: 9868 kg/m3
* piezoelectric modulus e_max: 0.06 C/m2
* electronic total energy: -19.78 eV per cell
* distance to the lowest polymorph of the same formula: 641 meV per atom

=====

First-principles (PBE) data for crystalline CuSb2ClO3 at its relaxed geometry, as listed in Materials Project.

Cell: 7.853 7.853 18.860 Å, 90.00 90.00 120.09°
Sites, in units of the cell vectors:
O  0.165  0.209  0.894
Sb  0.425  0.575  0.084
O  0.209  0.165  0.394
O  0.210  0.790  0.388
O  0.960  0.663  0.524
Sb  0.398  0.076  0.419
O  0.669  0.708  0.612
O  0.457  0.168  0.979
O  0.791  0.835  0.894
Sb  0.083  0.917  0.580
Sb  0.579  0.421  0.922
O  0.040  0.337  0.024
Sb  0.071  0.929  0.919
Cl  0.086  0.914  0.228
Sb  0.924  0.602  0.419
Cu  0.258  0.265  0.732
O  0.337  0.040  0.524
Sb  0.076  0.398  0.919
O  0.835  0.791  0.394
Cu  0.246  0.754  0.277
Sb  0.602  0.924  0.919
Cl  0.419  0.085  0.747
Cl  0.085  0.419  0.247
O  0.547  0.453  0.479
O  0.708  0.669  0.112
Sb  0.898  0.578  0.082
Cl  0.581  0.915  0.247
O  0.790  0.210  0.888
Cl  0.915  0.581  0.747
O  0.045  0.955  0.025
Sb  0.421  0.579  0.422
Sb  0.575  0.425  0.584
O  0.292  0.331  0.612
O  0.663  0.960  0.024
Cl  0.413  0.587  0.772
Cu  0.265  0.258  0.232
Cu  0.746  0.254  0.222
Cu  0.742  0.735  0.232
O  0.453  0.547  0.979
O  0.331  0.292  0.112
Sb  0.102  0.422  0.582
O  0.955  0.045  0.525
Cu  0.754  0.246  0.777
Cu  0.735  0.742  0.732
O  0.832  0.543  0.979
Sb  0.578  0.898  0.582
Cu  0.254  0.746  0.722
Cl  0.914  0.086  0.728
O  0.706  0.294  0.112
O  0.543  0.832  0.479
Sb  0.929  0.071  0.419
O  0.294  0.706  0.612
O  0.168  0.457  0.479
Sb  0.422  0.102  0.082
Sb  0.917  0.083  0.080
Cl  0.587  0.413  0.272

Summary:
* total moment: 0.001 μB/f.u.
* ρ: 5154 kg/m3
* MP2020-corrected energy: -308.105 eV per cell
* electronic total energy: -291.62 eV per cell

=====

First-principles (PBE) data for crystalline LaMoN3 at its relaxed geometry, as listed in Materials Project.

Cell: 7.786 7.786 3.961 Å, 90.00 90.00 136.55°
Sites, in units of the cell vectors:
Mo  0.426  0.251  0.750
N  0.350  0.726  0.250
La  0.611  0.959  0.750
N  0.726  0.350  0.750
N  0.914  0.191  0.250
N  0.351  0.463  0.750
N  0.191  0.914  0.750
La  0.959  0.611  0.250
N  0.463  0.351  0.250
Mo  0.251  0.426  0.250

Summary:
* ρ: 5569 kg/m3
* MP2020-corrected energy: -92.554 eV per cell
* electronic total energy: -90.39 eV per cell